Entry 1:
Computed, not measured: Li2Mn3B3O9 after structural relaxation at the PBE with a Hubbard U level of DFT.

```
Li2Mn3B3O9
1.0
8.258 0.000 0.000
4.107 7.828 0.000
0.080 3.884 8.667
Li Mn B O
6 9 9 27
direct
0.000 0.000 0.000
0.003 0.997 0.339
0.256 0.321 0.580
0.271 0.318 0.241
0.679 0.574 0.817
0.690 0.581 0.491
0.344 0.945 0.526
0.356 0.947 0.189
0.360 0.931 0.867
0.600 0.284 0.751
0.620 0.297 0.082
0.642 0.294 0.415
0.969 0.663 0.290
0.970 0.654 0.961
0.972 0.680 0.621
0.309 0.640 0.126
0.314 0.632 0.801
0.319 0.635 0.471
0.635 0.969 0.698
0.650 0.964 0.011
0.653 0.969 0.357
0.970 0.304 0.740
0.987 0.288 0.080
0.994 0.299 0.410
0.060 0.409 0.691
0.067 0.111 0.447
0.068 0.093 0.140
0.077 0.113 0.814
0.095 0.371 0.074
0.114 0.374 0.391
0.119 0.713 0.102
0.128 0.689 0.780
0.128 0.716 0.437
0.378 0.764 0.076
0.382 0.757 0.769
0.408 0.739 0.432
0.426 0.438 0.546
0.429 0.449 0.200
0.439 0.045 0.675
0.449 0.443 0.856
0.458 0.039 0.972
0.462 0.047 0.324
0.703 0.093 0.663
0.719 0.091 0.966
0.733 0.084 0.317
0.751 0.779 0.753
0.767 0.776 0.432
0.768 0.778 0.090
0.775 0.399 0.712
0.797 0.398 0.026
0.805 0.413 0.393
```

Properties
Space-group type = No. 1
ΔH_f (0 K) = -2432 meV per atom
Energy above the lowest structure with this stoichiometry = 30 meV/atom
Energy with MP2020 corrections = -8.07 eV per atom


Entry 2:
Computed, not measured: Li2Mn3B3O9 after structural relaxation at the PBE with a Hubbard U level of DFT.

```
Li2Mn3B3O9
1.0
5.225 0.000 0.000
0.299 6.135 0.000
2.337 1.199 11.665
Li Mn B O
4 6 6 18
direct
0.041 0.415 0.101
0.362 0.761 0.426
0.638 0.239 0.574
0.959 0.585 0.899
0.058 0.424 0.673
0.263 0.918 0.671
0.401 0.759 0.006
0.599 0.241 0.994
0.737 0.082 0.329
0.942 0.576 0.327
0.154 0.162 0.889
0.182 0.200 0.447
0.489 0.478 0.222
0.511 0.522 0.778
0.818 0.800 0.553
0.846 0.838 0.111
0.000 0.278 0.970
0.000 0.722 0.030
0.069 0.716 0.571
0.091 0.152 0.781
0.255 0.231 0.551
0.255 0.597 0.769
0.331 0.075 0.372
0.334 0.570 0.311
0.382 0.060 0.910
0.407 0.456 0.119
0.593 0.544 0.881
0.618 0.940 0.090
0.666 0.430 0.689
0.669 0.925 0.628
0.745 0.403 0.231
0.745 0.769 0.449
0.909 0.848 0.219
0.931 0.284 0.429
```

Properties
Space-group type = No. 2
ΔH_f (0 K) = -2449 meV per atom
Energy above the lowest structure with this stoichiometry = 13 meV/atom
Energy with MP2020 corrections = -8.09 eV per atom


Entry 3:
Computed, not measured: LiMn2B2O6 after structural relaxation at the PBE with a Hubbard U level of DFT.

```
LiMn2B2O6
1.0
2.679 -4.461 0.000
2.679 4.461 0.000
-0.756 0.000 10.320
Li Mn B O
2 4 4 12
direct
0.016 0.984 0.500
0.984 0.016 0.000
0.047 0.353 0.293
0.330 0.695 0.051
0.353 0.047 0.793
0.695 0.330 0.551
0.000 0.373 0.805
0.371 0.683 0.550
0.373 0.000 0.305
0.683 0.371 0.050
0.005 0.119 0.818
0.112 0.425 0.519
0.119 0.005 0.318
0.216 0.637 0.866
0.347 0.937 0.585
0.386 0.766 0.237
0.425 0.112 0.019
0.634 0.690 0.542
0.637 0.216 0.366
0.690 0.634 0.042
0.766 0.386 0.737
0.937 0.347 0.085
```

Properties
Space-group type = No. 9
ΔH_f (0 K) = -2421 meV per atom
Energy above the lowest structure with this stoichiometry = 11 meV/atom
Energy with MP2020 corrections = -8.17 eV per atom


Entry 4:
Computed, not measured: LiMn2B2O6 after structural relaxation at the PBE with a Hubbard U level of DFT.

```
LiMn2B2O6
1.0
5.358 0.000 0.000
0.059 9.091 0.000
2.338 4.359 10.264
Li Mn B O
4 8 8 24
direct
0.000 0.000 0.000
0.091 0.388 0.267
0.373 0.617 0.743
0.585 0.883 0.252
0.013 0.338 0.030
0.061 0.705 0.298
0.264 0.892 0.528
0.319 0.257 0.785
0.493 0.803 0.040
0.576 0.189 0.285
0.750 0.417 0.542
0.838 0.812 0.780
0.008 0.670 0.045
0.055 0.039 0.283
0.274 0.543 0.546
0.296 0.926 0.793
0.507 0.146 0.047
0.558 0.524 0.294
0.765 0.076 0.534
0.822 0.464 0.779
0.049 0.420 0.824
0.055 0.561 0.495
0.092 0.523 0.078
0.099 0.782 0.087
0.148 0.041 0.810
0.217 0.819 0.742
0.291 0.181 0.993
0.296 0.013 0.317
0.371 0.392 0.582
0.390 0.669 0.555
0.443 0.397 0.287
0.469 0.678 0.246
0.524 0.902 0.834
0.567 0.070 0.470
0.605 0.252 0.094
0.626 0.009 0.058
0.708 0.595 0.783
0.710 0.363 0.732
0.779 0.512 0.347
0.821 0.720 0.971
0.857 0.208 0.538
0.867 0.927 0.592
0.910 0.917 0.286
0.971 0.194 0.247
```

Properties
Space-group type = No. 1
ΔH_f (0 K) = -2416 meV per atom
Energy above the lowest structure with this stoichiometry = 16 meV/atom
Energy with MP2020 corrections = -8.17 eV per atom


Entry 5:
Computed, not measured: Li5Mn6B6O18 after structural relaxation at the PBE with a Hubbard U level of DFT.

```
Li5Mn6B6O18
1.0
5.217 0.000 0.000
0.260 7.945 0.000
2.282 2.327 9.136
Li Mn B O
5 6 6 18
direct
0.000 0.000 0.000
0.153 0.679 0.036
0.329 0.333 0.331
0.484 0.009 0.373
0.674 0.651 0.673
0.223 0.586 0.516
0.257 0.414 0.852
0.563 0.928 0.850
0.591 0.754 0.191
0.895 0.262 0.181
0.915 0.090 0.529
0.035 0.868 0.298
0.115 0.805 0.745
0.377 0.211 0.613
0.446 0.140 0.081
0.701 0.542 0.961
0.779 0.477 0.414
0.165 0.873 0.855
0.215 0.180 0.030
0.241 0.352 0.656
0.264 0.818 0.352
0.282 0.687 0.687
0.311 0.140 0.509
0.496 0.210 0.188
0.539 0.666 0.018
0.542 0.513 0.367
0.587 0.149 0.672
0.614 0.019 0.029
0.637 0.472 0.859
0.845 0.568 0.503
0.873 0.992 0.349
0.883 0.849 0.696
0.937 0.499 0.008
0.939 0.349 0.364
0.990 0.802 0.186
```

Properties
Space-group type = No. 1
ΔH_f (0 K) = -2476 meV per atom
Energy above the lowest structure with this stoichiometry = 7 meV/atom
Energy with MP2020 corrections = -8.01 eV per atom


Entry 6:
Computed, not measured: LiMn2B8O14 after structural relaxation at the PBE with a Hubbard U level of DFT.

```
LiMn2B8O14
1.0
6.506 0.000 0.000
0.000 5.174 0.000
-3.159 0.000 7.006
Li Mn B O
1 2 8 14
direct
0.000 0.000 0.000
0.295 0.000 0.795
0.583 0.500 0.263
0.044 0.500 0.813
0.154 0.263 0.349
0.154 0.737 0.349
0.314 0.500 0.661
0.524 0.000 0.386
0.684 0.245 0.699
0.684 0.755 0.699
0.799 0.000 0.241
0.220 0.269 0.554
0.220 0.500 0.277
0.220 0.731 0.554
0.257 0.000 0.304
0.267 0.500 0.837
0.574 0.000 0.214
0.577 0.500 0.737
0.618 0.231 0.493
0.618 0.769 0.493
0.628 0.000 0.774
0.904 0.231 0.248
0.904 0.769 0.248
0.932 0.272 0.800
0.932 0.728 0.800
```

Properties
Space-group type = No. 6
ΔH_f (0 K) = -2521 meV per atom
Energy above the lowest structure with this stoichiometry = 0 meV/atom
Energy with MP2020 corrections = -8.24 eV per atom


Entry 7:
Computed, not measured: Li5Mn6B6O18 after structural relaxation at the PBE with a Hubbard U level of DFT.

```
Li5Mn6B6O18
1.0
8.252 0.000 0.000
-4.118 7.832 0.000
-4.120 -2.776 11.697
Li Mn B O
10 12 12 36
direct
0.000 0.000 0.000
0.012 0.706 0.437
0.245 0.251 0.250
0.261 0.956 0.688
0.419 0.692 0.112
0.511 0.200 0.935
0.674 0.946 0.359
0.744 0.760 0.750
0.763 0.452 0.183
0.923 0.188 0.608
0.137 0.117 0.464
0.184 0.803 0.901
0.243 0.594 0.309
0.383 0.374 0.712
0.435 0.057 0.150
0.490 0.850 0.555
0.615 0.610 0.967
0.671 0.324 0.396
0.754 0.110 0.808
0.886 0.862 0.215
0.922 0.553 0.652
0.999 0.353 0.055
0.057 0.712 0.097
0.107 0.086 0.805
0.137 0.472 0.523
0.312 0.965 0.351
0.354 0.337 0.062
0.379 0.717 0.754
0.569 0.228 0.605
0.603 0.595 0.301
0.646 0.966 0.014
0.791 0.463 0.842
0.856 0.846 0.559
0.895 0.220 0.267
0.008 0.139 0.293
0.121 0.853 0.046
0.138 0.217 0.747
0.139 0.906 0.371
0.172 0.635 0.133
0.182 0.245 0.085
0.198 0.658 0.766
0.203 0.608 0.472
0.232 0.376 0.557
0.238 0.022 0.832
0.374 0.107 0.301
0.393 0.172 0.623
0.397 0.491 0.028
0.422 0.881 0.381
0.430 0.499 0.317
0.459 0.868 0.717
0.473 0.897 0.036
0.484 0.272 0.077
0.484 0.628 0.784
0.607 0.405 0.853
0.640 0.377 0.561
0.643 0.748 0.260
0.671 0.138 0.630
0.703 0.111 0.967
0.704 0.785 0.597
0.726 0.159 0.292
0.742 0.539 0.323
0.759 0.886 0.039
0.857 0.601 0.787
0.879 0.650 0.112
0.890 0.986 0.504
0.900 0.387 0.883
0.944 0.011 0.837
0.953 0.361 0.217
0.962 0.417 0.542
0.981 0.776 0.579
```

Properties
Space-group type = No. 1
ΔH_f (0 K) = -2474 meV per atom
Energy above the lowest structure with this stoichiometry = 8 meV/atom
Energy with MP2020 corrections = -8.01 eV per atom


Entry 8:
Computed, not measured: Li2Mn3B3O9 after structural relaxation at the PBE with a Hubbard U level of DFT.

```
Li2Mn3B3O9
1.0
8.303 0.000 0.000
-4.112 7.787 0.000
-0.067 -3.766 8.737
Li Mn B O
6 9 9 27
direct
0.000 0.000 0.000
0.003 0.987 0.338
0.419 0.676 0.891
0.428 0.674 0.563
0.732 0.411 0.477
0.744 0.414 0.148
0.073 0.708 0.738
0.088 0.701 0.068
0.113 0.703 0.403
0.341 0.298 0.611
0.355 0.328 0.279
0.381 0.345 0.954
0.697 0.035 0.184
0.714 0.060 0.855
0.719 0.050 0.522
0.045 0.358 0.128
0.052 0.359 0.457
0.061 0.365 0.787
0.382 0.014 0.667
0.384 0.031 0.013
0.388 0.030 0.360
0.701 0.681 0.735
0.732 0.690 0.406
0.733 0.707 0.075
0.116 0.552 0.198
0.128 0.556 0.851
0.145 0.553 0.508
0.161 0.273 0.443
0.163 0.286 0.098
0.190 0.890 0.614
0.190 0.920 0.975
0.194 0.307 0.769
0.195 0.907 0.320
0.444 0.205 0.731
0.453 0.223 0.432
0.467 0.225 0.085
0.494 0.948 0.982
0.504 0.947 0.653
0.506 0.588 0.701
0.509 0.965 0.332
0.542 0.598 0.396
0.544 0.629 0.033
0.796 0.587 0.685
0.799 0.872 0.821
0.811 0.594 0.054
0.824 0.586 0.369
0.827 0.881 0.451
0.849 0.901 0.140
0.854 0.243 0.087
0.863 0.255 0.420
0.876 0.235 0.746
```

Properties
Space-group type = No. 1
ΔH_f (0 K) = -2433 meV per atom
Energy above the lowest structure with this stoichiometry = 29 meV/atom
Energy with MP2020 corrections = -8.07 eV per atom


Q: energy with MP2020 corrections of number 3 (LiMn2B2O6)?
A: -8.17 eV per atom


Q: What is the formula in the third record?
A: LiMn2B2O6


Q: Number 1 is which compound?
A: Li2Mn3B3O9